This record from the Materials Project database describes an optimized crystal structure of Be3P2. The functional is PBE.

## Properties
total magnetization = 0.00 μB/f.u.
energy relative to the lowest polymorph listed for this composition = 157 meV per atom
E_tot = -4.48 eV per atom
SG = Pn-3m (224)
ΔH_f (0 K) = -0.076 eV/atom

```
data_Be3P2
_chemical_formula_sum 'Be6 P4'
_cell_length_a 5.078
_cell_length_b 5.078
_cell_length_c 5.078
_cell_angle_alpha 90.00
_cell_angle_beta 90.00
_cell_angle_gamma 90.00
_space_group_name_H-M_alt 'P 1'
_space_group_IT_number 1
loop_
_space_group_symop_operation_xyz
'x,y,z'
loop_
_atom_site_label
_atom_site_type_symbol
_atom_site_fract_x
_atom_site_fract_y
_atom_site_fract_z
Be1 Be 0.500 0.000 0.000
Be2 Be 0.500 0.500 0.000
Be3 Be 0.000 0.000 0.500
Be4 Be 0.000 0.500 0.000
Be5 Be 0.500 0.000 0.500
Be6 Be 0.000 0.500 0.500
P1 P 0.250 0.250 0.250
P2 P 0.250 0.750 0.750
P3 P 0.750 0.750 0.250
P4 P 0.750 0.250 0.750
```